# 1
# SbSBr3F6

SbSBr3F6 after structural relaxation (PBE, the Materials Project database).

Cell: 8.4933 9.5746 12.7793 Å, 90.00 90.00 90.00°
Closest atoms and distances in Å follow each position.
Fractional positions:
Sb (0.1944, 0.0378, 0.1915)  6 F 1.91-1.94
Sb (0.3056, 0.9622, 0.6915)  6 F 1.91-1.94
Sb (0.6944, 0.4622, 0.8085)  6 F 1.91-1.94
Sb (0.8056, 0.5378, 0.3085)  6 F 1.91-1.94
S (0.1553, 0.4737, 0.0207)  3 Br 2.18-2.19
S (0.3447, 0.5263, 0.5207)  3 Br 2.18-2.19
S (0.6553, 0.0263, 0.9793)  3 Br 2.18-2.19
S (0.8447, 0.9737, 0.4793)  3 Br 2.18-2.19
Br (0.1373, 0.5021, 0.6211)  1 S 2.19
Br (0.1504, 0.6701, 0.9337)  1 S 2.19
Br (0.2173, 0.3189, 0.9022)  1 S 2.18
Br (0.2827, 0.6811, 0.4022)  1 S 2.18
Br (0.3496, 0.3299, 0.4337)  1 S 2.19
Br (0.3627, 0.4979, 0.1211)  1 S 2.19
Br (0.6373, 0.9979, 0.3789)  1 S 2.19
Br (0.6504, 0.8299, 0.0663)  1 S 2.19
Br (0.7173, 0.1811, 0.0978)  1 S 2.18
Br (0.7827, 0.8189, 0.5978)  1 S 2.18
Br (0.8496, 0.1701, 0.5663)  1 S 2.19
Br (0.8627, 0.0021, 0.8789)  1 S 2.19
F (0.0276, 0.9528, 0.1138)  1 Sb 1.91
F (0.0661, 0.0461, 0.3147)  1 Sb 1.92
F (0.1232, 0.2211, 0.1525)  1 Sb 1.92
F (0.1328, 0.8809, 0.7704)  1 Sb 1.94
F (0.1719, 0.9661, 0.5701)  1 Sb 1.92
F (0.2286, 0.1441, 0.7324)  1 Sb 1.93
F (0.2714, 0.8559, 0.2324)  1 Sb 1.93
F (0.3281, 0.0339, 0.0701)  1 Sb 1.92
F (0.3672, 0.1191, 0.2704)  1 Sb 1.94
F (0.3768, 0.7789, 0.6525)  1 Sb 1.92
F (0.4339, 0.9539, 0.8147)  1 Sb 1.92
F (0.4724, 0.0472, 0.6138)  1 Sb 1.91
F (0.5276, 0.5472, 0.8862)  1 Sb 1.91
F (0.5661, 0.4539, 0.6853)  1 Sb 1.92
F (0.6232, 0.2789, 0.8475)  1 Sb 1.92
F (0.6328, 0.6191, 0.2296)  1 Sb 1.94
F (0.6719, 0.5339, 0.4299)  1 Sb 1.92
F (0.7286, 0.3559, 0.2676)  1 Sb 1.93
F (0.7714, 0.6441, 0.7676)  1 Sb 1.93
F (0.8281, 0.4661, 0.9299)  1 Sb 1.92
F (0.8672, 0.3809, 0.7296)  1 Sb 1.94
F (0.8768, 0.7211, 0.3475)  1 Sb 1.92
F (0.9339, 0.5461, 0.1853)  1 Sb 1.92
F (0.9724, 0.4528, 0.3862)  1 Sb 1.91

largest piezoelectric modulus = 0.058 C/m²
size of the total moment = 0.00 μB per formula unit
crystal system = orthorhombic
space-group type = P2_12_12_1, No. 19


# 2
# Sr21Mn4Sb18

Sr21Mn4Sb18 after structural relaxation (PBE, the Materials Project database).

Cell: 12.7108 12.7108 18.0005 Å, 91.36 91.36 87.56°
Closest atoms and distances in Å follow each position.
Fractional positions:
Sr (0.0037, 0.6771, 0.0627)  6 Sb 3.33-3.58
Sr (0.0077, 0.7544, 0.4440)  4 Sb 3.27-3.62
Sr (0.0707, 0.8226, 0.8807)  6 Sb 3.27-3.54
Sr (0.0764, 0.4327, 0.7428)  4 Sb 3.23-3.44, 1 Mn 3.52
Sr (0.0970, 0.0970, 0.7550)  3 Sb 3.21-3.50
Sr (0.0971, 0.7594, 0.6594)  5 Sb 3.25-3.60, 1 Mn 3.63
Sr (0.1774, 0.9293, 0.1193)  6 Sb 3.27-3.54
Sr (0.2369, 0.2369, 0.4088)  5 Sb 3.40-3.73, 2 Mn 3.46
Sr (0.2365, 0.4963, 0.5584)  4 Sb 3.38-3.47
Sr (0.2406, 0.9029, 0.3406)  5 Sb 3.25-3.60, 1 Mn 3.63
Sr (0.2456, 0.9923, 0.5560)  4 Sb 3.27-3.62
Sr (0.2483, 0.2483, 0.0801)  7 Sb 3.44-3.78, 2 Mn 3.66
Sr (0.2505, 0.5784, 0.3537)  6 Sb 3.31-3.62, 1 Mn 3.46, 1 Sr 3.66
Sr (0.2615, 0.5715, 0.1507)  6 Sb 3.23-3.54
Sr (0.2712, 0.5092, 0.9223)  5 Sb 3.28-3.57
Sr (0.3229, 0.9963, 0.9373)  6 Sb 3.33-3.58
Sr (0.4216, 0.7495, 0.6463)  6 Sb 3.31-3.62, 1 Mn 3.46, 1 Sr 3.66
Sr (0.4285, 0.7385, 0.8493)  6 Sb 3.23-3.54
Sr (0.4327, 0.0764, 0.7428)  4 Sb 3.23-3.44, 1 Mn 3.52
Sr (0.4908, 0.7288, 0.0777)  5 Sb 3.28-3.57
Sr (0.4963, 0.2365, 0.5584)  4 Sb 3.38-3.47
Sr (0.5037, 0.7635, 0.4416)  4 Sb 3.38-3.47
Sr (0.5092, 0.2712, 0.9223)  5 Sb 3.28-3.57
Sr (0.5673, 0.9236, 0.2572)  4 Sb 3.23-3.44, 1 Mn 3.52
Sr (0.5715, 0.2615, 0.1507)  6 Sb 3.23-3.54
Sr (0.5784, 0.2505, 0.3537)  6 Sb 3.31-3.62, 1 Mn 3.46, 1 Sr 3.66
Sr (0.6771, 0.0037, 0.0627)  6 Sb 3.33-3.58
Sr (0.7288, 0.4908, 0.0777)  5 Sb 3.28-3.57
Sr (0.7385, 0.4285, 0.8493)  6 Sb 3.23-3.54
Sr (0.7495, 0.4216, 0.6463)  6 Sb 3.31-3.62, 1 Mn 3.46, 1 Sr 3.66
Sr (0.7517, 0.7517, 0.9199)  7 Sb 3.44-3.78, 2 Mn 3.66
Sr (0.7544, 0.0077, 0.4440)  4 Sb 3.27-3.62
Sr (0.7594, 0.0971, 0.6594)  5 Sb 3.25-3.60, 1 Mn 3.63
Sr (0.7635, 0.5037, 0.4416)  4 Sb 3.38-3.47
Sr (0.7631, 0.7631, 0.5912)  5 Sb 3.40-3.73, 2 Mn 3.46
Sr (0.8226, 0.0707, 0.8807)  6 Sb 3.27-3.54
Sr (0.9029, 0.2406, 0.3406)  5 Sb 3.25-3.60, 1 Mn 3.63
Sr (0.9030, 0.9030, 0.2450)  3 Sb 3.21-3.50
Sr (0.9236, 0.5673, 0.2572)  4 Sb 3.23-3.44, 1 Mn 3.52
Sr (0.9293, 0.1774, 0.1193)  6 Sb 3.27-3.54
Sr (0.9923, 0.2456, 0.5560)  4 Sb 3.27-3.62
Sr (0.9963, 0.3229, 0.9373)  6 Sb 3.33-3.58
Mn (0.1257, 0.3489, 0.2507)  4 Sb 2.81-2.99
Mn (0.3417, 0.3417, 0.7432)  4 Sb 2.81-2.85, 1 Mn 3.02
Mn (0.3489, 0.1257, 0.2507)  4 Sb 2.81-2.99
Mn (0.4991, 0.4991, 0.2947)  4 Sb 2.77-2.84, 1 Mn 3.02
Mn (0.5009, 0.5009, 0.7053)  4 Sb 2.77-2.84, 1 Mn 3.02
Mn (0.6511, 0.8743, 0.7493)  4 Sb 2.81-2.99
Mn (0.6583, 0.6583, 0.2568)  4 Sb 2.81-2.85, 1 Mn 3.02
Mn (0.8743, 0.6511, 0.7493)  4 Sb 2.81-2.99
Sb (0.0351, 0.0351, 0.4263)  1 Sb 2.99
Sb (0.0402, 0.4225, 0.1153)  1 Mn 2.81
Sb (0.0499, 0.4353, 0.3967)  1 Mn 2.99, 2 Sr 3.29-3.31
Sb (0.0727, 0.0727, 0.9662)  1 Sb 2.97
Sb (0.1018, 0.7392, 0.2424)  7 Sr 3.21-3.52
Sb (0.1265, 0.1265, 0.2441)  2 Mn 2.83
Sb (0.2419, 0.2419, 0.6214)  1 Mn 2.81
Sb (0.2540, 0.2540, 0.8706)  1 Mn 2.85
Sb (0.2546, 0.7454, 0.0000)  8 Sr 3.27-3.56
Sb (0.2547, 0.7453, 0.5000)  8 Sr 3.27-3.53
Sb (0.2608, 0.8982, 0.7576)  7 Sr 3.21-3.52
Sb (0.2956, 0.5624, 0.7388)  2 Mn 2.77-2.84
Sb (0.3491, 0.3491, 0.2504)  3 Mn 2.84
Sb (0.4225, 0.0402, 0.1153)  1 Mn 2.81
Sb (0.4353, 0.0499, 0.3967)  1 Mn 2.99, 2 Sr 3.29-3.31
Sb (0.4376, 0.7044, 0.2612)  2 Mn 2.77-2.84
Sb (0.4446, 0.4446, 0.4396)  1 Mn 2.82, 1 Sb 2.93
Sb (0.4523, 0.4523, 0.0628)  1 Sb 2.90, 2 Sr 3.23
Sb (0.5477, 0.5477, 0.9372)  1 Sb 2.90, 2 Sr 3.23
Sb (0.5554, 0.5554, 0.5604)  1 Mn 2.82, 1 Sb 2.93
Sb (0.5624, 0.2956, 0.7388)  2 Mn 2.77-2.84
Sb (0.5647, 0.9501, 0.6033)  1 Mn 2.99, 2 Sr 3.29-3.31
Sb (0.5775, 0.9598, 0.8847)  1 Mn 2.81
Sb (0.6509, 0.6509, 0.7496)  3 Mn 2.84
Sb (0.7044, 0.4376, 0.2612)  2 Mn 2.77-2.84
Sb (0.7392, 0.1018, 0.2424)  7 Sr 3.21-3.52
Sb (0.7454, 0.2546, 0.0000)  8 Sr 3.27-3.56
Sb (0.7453, 0.2547, 0.5000)  8 Sr 3.27-3.53
Sb (0.7460, 0.7460, 0.1294)  1 Mn 2.85
Sb (0.7581, 0.7581, 0.3786)  1 Mn 2.81
Sb (0.8735, 0.8735, 0.7559)  2 Mn 2.83
Sb (0.8982, 0.2608, 0.7576)  7 Sr 3.21-3.52
Sb (0.9273, 0.9273, 0.0338)  1 Sb 2.97
Sb (0.9501, 0.5647, 0.6033)  1 Mn 2.99, 2 Sr 3.29-3.31
Sb (0.9598, 0.5775, 0.8847)  1 Mn 2.81
Sb (0.9649, 0.9649, 0.5737)  1 Sb 2.99

size of the total moment = 20.29 μB per formula unit
crystal system = monoclinic
space-group type = C2/m, No. 12


# 3
# AcCdAu2

AcCdAu2 after structural relaxation (PBE, the Materials Project database).

Cell: 5.2429 5.2429 5.2429 Å, 60.00 60.00 60.00°
Closest atoms and distances in Å follow each position.
Fractional positions:
Ac (0.0000, 0.0000, 0.0000)  8 Au 3.21
Cd (0.5000, 0.5000, 0.5000)  8 Au 3.21
Au (0.2500, 0.2500, 0.2500)  4 Cd 3.21, 4 Ac 3.21
Au (0.7500, 0.7500, 0.7500)  4 Cd 3.21, 4 Ac 3.21

crystal system = cubic
space-group type = Fm-3m, No. 225


# 4
# Na2YSnP3O12

Na2YSnP3O12 after structural relaxation (PBE, the Materials Project database).

Cell: 9.1114 9.1114 23.0130 Å, 89.99 90.01 120.31°
Closest atoms and distances in Å follow each position.
Fractional positions:
O (0.1326, 0.4808, 0.5774)  1 P 1.54
O (0.5460, 0.8698, 0.4700)  1 P 1.50
O (0.6511, 0.1323, 0.1327)  1 P 1.52
O (0.4435, 0.1490, 0.5266)  1 P 1.57
O (0.9954, 0.2026, 0.3090)  1 P 1.52
O (0.1873, 0.1505, 0.0891)  1 P 1.58
O (0.1308, 0.6713, 0.4756)  1 P 1.52
O (0.3713, 0.4841, 0.3571)  1 P 1.58
O (0.1759, 0.6982, 0.7544)  1 P 1.56
O (0.5092, 0.3648, 0.4211)  1 P 1.56
O (0.1956, 0.9943, 0.9141)  1 P 1.52
O (0.4635, 0.1206, 0.6367)  1 P 1.50
O (0.9685, 0.1574, 0.5878)  1 P 1.56
O (0.8526, 0.5341, 0.7441)  1 P 1.54
O (0.8540, 0.4838, 0.4224)  1 P 1.58
O (0.5162, 0.1460, 0.9224)  1 P 1.58
O (0.4754, 0.3411, 0.7449)  1 P 1.54
O (0.8623, 0.3276, 0.2474)  1 P 1.52
O (0.8466, 0.3601, 0.9202)  1 P 1.58
O (0.1209, 0.6219, 0.3660)  1 P 1.59
O (0.0380, 0.8174, 0.6905)  1 P 1.58
O (0.4659, 0.1474, 0.2441)  1 P 1.54
O (0.7769, 0.8157, 0.1933)  1 P 1.57
O (0.1859, 0.2007, 0.4107)  1 P 1.54
O (0.3287, 0.8692, 0.9756)  1 P 1.52
O (0.8510, 0.5565, 0.0266)  1 P 1.57
O (0.6589, 0.5246, 0.2449)  1 P 1.54
O (0.8426, 0.0315, 0.0878)  1 P 1.56
O (0.7046, 0.1508, 0.0238)  1 P 1.58
O (0.1420, 0.6744, 0.0782)  1 P 1.54
O (0.7969, 0.7873, 0.3033)  1 P 1.50
O (0.3018, 0.8241, 0.2544)  1 P 1.56
O (0.3781, 0.8791, 0.8660)  1 P 1.59
O (0.6352, 0.4908, 0.9211)  1 P 1.56
O (0.1829, 0.4793, 0.2557)  1 P 1.58
O (0.1799, 0.0267, 0.5869)  1 P 1.58
O (0.5290, 0.6610, 0.5808)  1 P 1.52
O (0.2127, 0.2031, 0.8033)  1 P 1.50
O (0.5159, 0.6287, 0.8571)  1 P 1.58
O (0.5133, 0.6934, 0.2536)  1 P 1.58
O (0.0057, 0.8044, 0.4141)  1 P 1.52
O (0.4542, 0.2886, 0.0327)  1 P 1.59
O (0.5344, 0.6822, 0.9660)  1 P 1.52
O (0.3390, 0.4710, 0.0808)  1 P 1.52
O (0.8087, 0.0077, 0.4115)  1 P 1.54
O (0.1826, 0.9620, 0.1905)  1 P 1.58
O (0.4641, 0.3379, 0.1423)  1 P 1.52
O (0.9844, 0.7990, 0.7993)  1 P 1.52
O (0.1102, 0.4823, 0.8600)  1 P 1.57
O (0.1843, 0.2231, 0.6933)  1 P 1.57
O (0.0448, 0.2124, 0.1994)  1 P 1.59
O (0.3256, 0.8580, 0.5782)  1 P 1.54
O (0.5177, 0.8898, 0.3600)  1 P 1.57
O (0.8794, 0.5365, 0.1367)  1 P 1.50
O (0.8492, 0.2954, 0.5238)  1 P 1.58
O (0.7114, 0.5458, 0.5327)  1 P 1.59
O (0.3066, 0.4867, 0.7536)  1 P 1.58
O (0.6621, 0.5359, 0.6423)  1 P 1.52
O (0.5192, 0.8674, 0.0774)  1 P 1.54
O (0.8495, 0.8127, 0.5891)  1 P 1.58
O (0.6399, 0.1534, 0.4202)  1 P 1.58
O (0.7974, 0.0046, 0.8090)  1 P 1.52
O (0.7993, 0.8141, 0.9107)  1 P 1.54
O (0.2010, 0.0156, 0.2993)  1 P 1.52
O (0.6724, 0.1377, 0.7474)  1 P 1.52
O (0.1302, 0.4540, 0.9700)  1 P 1.50
O (0.9923, 0.1913, 0.9115)  1 P 1.54
O (0.7876, 0.9552, 0.6994)  1 P 1.59
O (0.9733, 0.8201, 0.0869)  1 P 1.58
O (0.5207, 0.8171, 0.7557)  1 P 1.58
O (0.3178, 0.4656, 0.4660)  1 P 1.52
O (0.8677, 0.3489, 0.6327)  1 P 1.52
Sn (0.9915, 0.9968, 0.1499)  6 O 2.07-2.14
Sn (0.3366, 0.6752, 0.3166)  6 O 2.07-2.14
Sn (0.6581, 0.3301, 0.4833)  6 O 2.07-2.14
Sn (0.3248, 0.6634, 0.8166)  6 O 2.07-2.14
Sn (0.6699, 0.3419, 0.9833)  6 O 2.07-2.14
Sn (0.0032, 0.0085, 0.6499)  6 O 2.07-2.14
P (0.2921, 0.3072, 0.7495)  4 O 1.50-1.58
P (0.9552, 0.3212, 0.5814)  4 O 1.52-1.58
P (0.6992, 0.9868, 0.7536)  4 O 1.52-1.59
P (0.6218, 0.6545, 0.9147)  4 O 1.52-1.58
P (0.0121, 0.7115, 0.7480)  4 O 1.52-1.58
P (0.6788, 0.0448, 0.0814)  4 O 1.52-1.58
P (0.0132, 0.3008, 0.2536)  4 O 1.52-1.59
P (0.0261, 0.3746, 0.9162)  4 O 1.50-1.58
P (0.3659, 0.3201, 0.0869)  4 O 1.52-1.59
P (0.6928, 0.7079, 0.2495)  4 O 1.50-1.58
P (0.3595, 0.0413, 0.5829)  4 O 1.50-1.58
P (0.3455, 0.3782, 0.4147)  4 O 1.52-1.58
P (0.9587, 0.6405, 0.0829)  4 O 1.50-1.58
P (0.6799, 0.6341, 0.5869)  4 O 1.52-1.59
P (0.6254, 0.9739, 0.4162)  4 O 1.50-1.58
P (0.0325, 0.6534, 0.4202)  4 O 1.52-1.59
P (0.2885, 0.9879, 0.2480)  4 O 1.52-1.58
P (0.3466, 0.9675, 0.9202)  4 O 1.52-1.59
Y (0.6622, 0.3192, 0.6867)  6 O 2.14-2.27
Y (0.3475, 0.6711, 0.5201)  6 O 2.14-2.27
Y (0.3289, 0.6525, 0.0201)  6 O 2.14-2.27
Y (0.9956, 0.9858, 0.3534)  6 O 2.14-2.27
Y (0.0142, 0.0044, 0.8534)  6 O 2.14-2.27
Y (0.6808, 0.3378, 0.1867)  6 O 2.14-2.27
Na (0.6955, 0.0221, 0.9164)  3 O 2.34-2.51
Na (0.6446, 0.6378, 0.7497)  3 O 2.34-2.51
Na (0.0000, 0.9996, 0.5010)  6 O 2.50-2.72
Na (0.9779, 0.3045, 0.4164)  3 O 2.34-2.51
Na (0.3112, 0.9712, 0.0830)  3 O 2.34-2.51
Na (0.3622, 0.3554, 0.2497)  3 O 2.34-2.51
Na (0.6667, 0.3330, 0.8343)  6 O 2.50-2.72
Na (0.3333, 0.6663, 0.1677)  6 O 2.50-2.72
Na (0.3337, 0.6667, 0.6677)  6 O 2.50-2.72
Na (0.0004, 0.0000, 0.0010)  6 O 2.50-2.72
Na (0.0288, 0.6888, 0.5830)  3 O 2.34-2.51
Na (0.6670, 0.3333, 0.3343)  6 O 2.50-2.72

size of the total moment = 0.00 μB per formula unit


# 5
# Zr3N

Zr3N after structural relaxation (PBE, the Materials Project database).

Cell: 5.5708 5.5708 5.5708 Å, 139.18 139.18 59.10°
Closest atoms and distances in Å follow each position.
Fractional positions:
Zr (0.0000, 0.0000, 0.0000)  4 N 2.75
Zr (0.2500, 0.7500, 0.5000)  4 Zr 2.75
Zr (0.7500, 0.2500, 0.5000)  4 Zr 2.75
N (0.5000, 0.5000, 0.0000)  4 Zr 2.75

energy above the most stable polymorph in this dataset = 0.0000 eV/atom
size of the total moment = 0.40 μB per formula unit
crystal system = tetragonal
space-group type = I4/mmm, No. 139


What are the energy relative to the elements values for these records? In order: -1717.0; -971.0; -624.2; -2803.5; 549.0 meV/atom.